VASP calculation (GGA-PBE) on SrNbNO2 after structural relaxation.

abc: 4.084 4.084 4.109
angles: 90.00 90.00 90.00
Atoms (fractional coordinates):
Sr  0.000  0.000  0.000
Nb  0.500  0.500  0.500
N  0.500  0.500  0.000
O  0.000  0.500  0.500
O  0.500  0.000  0.500

Results
formation energy: -2.406 eV/atom
space group: P4/mmm, No. 123
total DFT energy (no corrections): -8.136 eV/atom